(1)
Hf6Al2Pt | meta-GGA r2SCAN | relaxed

The structure in POSCAR format:
```
Hf6Al2Pt
1.0
-0.980 -0.192 -7.840
-6.268 -0.568 4.781
-0.331 3.317 -0.040
Hf Al Pt
6 2 1
direct
0.000 0.399 0.000 Hf
0.000 0.733 0.500 Hf
0.399 0.000 0.000 Hf
0.601 0.601 0.000 Hf
0.267 0.267 0.500 Hf
0.733 0.000 0.500 Hf
0.333 0.667 0.500 Al
0.667 0.333 0.500 Al
0.000 0.000 0.000 Pt
```

Its crystal system is hexagonal. The calculation puts the formation energy at -0.5332 eV/atom.


(2)
Hf6Al16Pt7 | meta-GGA r2SCAN | relaxed

The structure in POSCAR format:
```
Hf6Al16Pt7
1.0
-1.121 -8.518 -1.324
-7.704 -3.005 -2.679
-0.898 -3.060 -8.087
Al Pt Hf
16 7 6
direct
0.005 0.665 0.665 Al
0.335 0.335 0.335 Al
0.335 0.995 0.335 Al
0.880 0.361 0.880 Al
0.665 0.665 0.665 Al
0.120 0.639 0.120 Al
0.361 0.880 0.880 Al
0.665 0.005 0.665 Al
0.880 0.880 0.880 Al
0.995 0.335 0.335 Al
0.335 0.335 0.995 Al
0.639 0.120 0.120 Al
0.665 0.665 0.005 Al
0.880 0.880 0.361 Al
0.120 0.120 0.639 Al
0.120 0.120 0.120 Al
0.000 0.500 0.000 Pt
0.000 0.500 0.500 Pt
0.500 0.000 0.500 Pt
0.000 0.000 0.000 Pt
0.500 0.000 0.000 Pt
0.500 0.500 0.000 Pt
0.000 0.000 0.500 Pt
0.318 0.682 0.682 Hf
0.682 0.682 0.318 Hf
0.318 0.318 0.682 Hf
0.682 0.318 0.318 Hf
0.682 0.318 0.682 Hf
0.318 0.682 0.318 Hf
```

Its crystal system is cubic. The calculation puts the formation energy at -0.9630 eV/atom.


(3)
HfAlRh2 | meta-GGA r2SCAN | relaxed

The structure in POSCAR format:
```
HfAlRh2
1.0
0.000 3.127 3.127
3.127 0.000 3.127
3.127 3.127 0.000
Rh Al Hf
2 1 1
direct
0.500 0.500 0.500 Rh
0.000 0.000 0.000 Rh
0.250 0.250 0.250 Al
0.750 0.750 0.750 Hf
```

Its crystal system is cubic. The calculation puts the formation energy at -1.0977 eV/atom.


(4)
HfAlZn | meta-GGA r2SCAN | relaxed

The structure in POSCAR format:
```
HfAlZn
1.0
-2.579 2.621 3.658
2.579 -2.621 3.658
2.579 2.621 -3.658
Hf Zn Al
2 2 2
direct
0.124 0.874 0.250 Hf
0.876 0.126 0.750 Hf
0.500 0.500 0.500 Zn
0.500 0.000 0.000 Zn
0.000 0.500 0.500 Al
0.500 0.500 0.000 Al
```

Its crystal system is orthorhombic. The calculation puts the formation energy at -0.4323 eV/atom.


(5)
Hf2Al3Zn | meta-GGA r2SCAN | relaxed

The structure in POSCAR format:
```
Hf2Al3Zn
1.0
4.464 -2.627 0.001
4.464 2.627 0.001
2.916 0.000 4.281
Hf Zn Al
2 1 3
direct
0.625 0.625 0.625 Hf
0.375 0.375 0.375 Hf
0.000 0.000 0.000 Zn
0.000 0.000 0.500 Al
0.500 0.000 0.000 Al
0.000 0.500 0.000 Al
```

Its crystal system is trigonal. The calculation puts the formation energy at -0.5008 eV/atom.


(6)
Al2HgSe4 | meta-GGA r2SCAN | relaxed

The structure in POSCAR format:
```
Al2HgSe4
1.0
-3.931 -3.465 -2.518
3.737 -4.445 0.281
-1.854 2.622 5.997
Al Se Hg
2 4 1
direct
0.500 0.500 0.000 Al
0.250 0.750 0.500 Al
0.133 0.134 0.725 Se
0.866 0.408 0.275 Se
0.409 0.867 0.275 Se
0.592 0.591 0.725 Se
0.000 0.000 0.000 Hg
```

Its crystal system is tetragonal. The calculation puts the formation energy at -0.8252 eV/atom.


(7)
Al2HgTe4 | meta-GGA r2SCAN | relaxed

The structure in POSCAR format:
```
Al2HgTe4
1.0
5.690 0.000 -2.528
-1.123 5.578 -2.528
-0.118 -0.145 7.402
Al Te Hg
2 4 1
direct
0.500 0.500 0.000 Al
0.250 0.750 0.500 Al
0.410 0.395 0.274 Te
0.121 0.590 0.726 Te
0.605 0.136 0.726 Te
0.864 0.879 0.274 Te
0.000 0.000 0.000 Hg
```

Its crystal system is tetragonal. The calculation puts the formation energy at -0.4770 eV/atom.


(8)
YbAlHg2 | meta-GGA r2SCAN | relaxed

The structure in POSCAR format:
```
YbAlHg2
1.0
3.261 -2.657 2.568
3.124 2.242 3.083
-0.540 -0.527 4.870
Hg Al Yb
2 1 1
direct
0.750 0.750 0.750 Hg
0.250 0.250 0.250 Hg
0.500 0.500 0.500 Al
0.000 0.000 0.000 Yb
```

Its crystal system is cubic. The calculation puts the formation energy at -0.3125 eV/atom.


(9)
Ho3Al2 | meta-GGA r2SCAN | relaxed

The structure in POSCAR format:
```
Ho3Al2
1.0
-5.395 5.975 -1.290
-5.915 -4.668 3.115
1.438 2.791 6.911
Ho Al
12 8
direct
0.202 0.798 0.000 Ho
0.000 0.500 0.750 Ho
0.798 0.202 0.000 Ho
0.849 0.151 0.500 Ho
0.298 0.298 0.500 Ho
0.151 0.849 0.500 Ho
0.349 0.349 0.000 Ho
0.500 0.000 0.750 Ho
0.702 0.702 0.500 Ho
0.651 0.651 0.000 Ho
0.500 0.000 0.250 Ho
0.000 0.500 0.250 Ho
0.881 0.881 0.196 Al
0.119 0.119 0.196 Al
0.881 0.881 0.804 Al
0.619 0.381 0.696 Al
0.119 0.119 0.804 Al
0.381 0.619 0.696 Al
0.619 0.381 0.304 Al
0.381 0.619 0.304 Al
```

Its crystal system is tetragonal. The calculation puts the formation energy at -0.3794 eV/atom.


(10)
HoAl | meta-GGA r2SCAN | relaxed

The structure in POSCAR format:
```
HoAl
1.0
-0.581 1.013 5.450
-3.809 4.199 -1.186
-8.456 -7.529 0.498
Ho Al
8 8
direct
0.750 0.838 0.984 Ho
0.750 0.162 0.484 Ho
0.250 0.400 0.332 Ho
0.250 0.162 0.016 Ho
0.250 0.600 0.832 Ho
0.250 0.838 0.516 Ho
0.750 0.600 0.668 Ho
0.750 0.400 0.168 Ho
0.250 0.662 0.098 Al
0.500 0.931 0.250 Al
0.000 0.931 0.250 Al
0.750 0.662 0.402 Al
0.000 0.069 0.750 Al
0.250 0.338 0.598 Al
0.750 0.338 0.902 Al
0.500 0.069 0.750 Al
```

Its crystal system is orthorhombic. The calculation puts the formation energy at -0.4780 eV/atom.


(11)
HoAl3 | meta-GGA r2SCAN | relaxed

The structure in POSCAR format:
```
HoAl3
1.0
4.215 0.000 0.000
0.000 4.215 0.000
0.000 0.000 4.215
Al Ho
3 1
direct
0.000 0.500 0.500 Al
0.500 0.000 0.500 Al
0.500 0.500 0.000 Al
0.000 0.000 0.000 Ho
```

Its crystal system is cubic. The calculation puts the formation energy at -0.4553 eV/atom.


(12)
HoAl3 | meta-GGA r2SCAN | relaxed

The structure in POSCAR format:
```
HoAl3
1.0
12.016 -3.026 -0.007
12.016 3.026 -0.007
11.257 0.000 5.178
Ho Al
5 15
direct
0.600 0.600 0.600 Ho
0.869 0.869 0.869 Ho
0.131 0.131 0.131 Ho
0.000 0.000 0.000 Ho
0.400 0.400 0.400 Ho
0.364 0.871 0.364 Al
0.364 0.364 0.871 Al
0.566 0.118 0.118 Al
0.636 0.129 0.636 Al
0.871 0.364 0.364 Al
0.129 0.636 0.636 Al
0.118 0.566 0.118 Al
0.636 0.636 0.129 Al
0.500 0.000 0.500 Al
0.500 0.500 0.000 Al
0.118 0.118 0.566 Al
0.434 0.882 0.882 Al
0.000 0.500 0.500 Al
0.882 0.434 0.882 Al
0.882 0.882 0.434 Al
```

Its crystal system is trigonal. The calculation puts the formation energy at -0.4631 eV/atom.


(13)
HoAl3 | meta-GGA r2SCAN | relaxed

The structure in POSCAR format:
```
HoAl3
1.0
-6.184 0.357 -0.342
2.679 -4.884 2.730
-0.096 2.198 4.027
Ho Al
2 6
direct
0.667 0.333 0.250 Ho
0.333 0.667 0.750 Ho
0.294 0.147 0.750 Al
0.147 0.853 0.250 Al
0.853 0.147 0.750 Al
0.147 0.294 0.250 Al
0.706 0.853 0.250 Al
0.853 0.706 0.750 Al
```

Its crystal system is hexagonal. The calculation puts the formation energy at -0.4712 eV/atom.


(14)
HoAl3 | meta-GGA r2SCAN | relaxed

The structure in POSCAR format:
```
HoAl3
1.0
-3.065 -5.308 -0.002
3.064 -5.308 0.000
0.002 -3.537 7.002
Al Ho
9 3
direct
0.500 0.000 0.000 Al
0.297 0.738 0.668 Al
0.703 0.262 0.332 Al
0.738 0.297 0.668 Al
0.703 0.703 0.332 Al
0.297 0.297 0.668 Al
0.262 0.703 0.332 Al
0.500 0.500 0.000 Al
0.000 0.500 0.000 Al
0.782 0.782 0.655 Ho
0.000 0.000 0.000 Ho
0.218 0.218 0.345 Ho
```

Its crystal system is trigonal. The calculation puts the formation energy at -0.4657 eV/atom.


(15)
Ho2Al9Ir3 | meta-GGA r2SCAN | relaxed

The structure in POSCAR format:
```
Ho2Al9Ir3
1.0
3.777 -6.471 0.000
3.777 6.471 0.000
0.000 0.000 9.410
Al Ir Ho
18 6 4
direct
0.001 0.336 0.074 Al
0.340 0.549 0.250 Al
0.999 0.664 0.574 Al
0.451 0.660 0.750 Al
0.999 0.664 0.926 Al
0.549 0.340 0.250 Al
0.666 0.666 0.051 Al
0.334 0.334 0.949 Al
0.664 0.999 0.574 Al
0.001 0.336 0.426 Al
0.870 0.870 0.750 Al
0.336 0.001 0.426 Al
0.666 0.666 0.449 Al
0.336 0.001 0.074 Al
0.664 0.999 0.926 Al
0.334 0.334 0.551 Al
0.660 0.451 0.750 Al
0.130 0.130 0.250 Al
0.328 0.672 0.500 Ir
0.672 0.328 0.000 Ir
0.328 0.672 0.000 Ir
0.000 0.000 0.000 Ir
0.672 0.328 0.500 Ir
0.000 0.000 0.500 Ir
0.328 0.005 0.750 Ho
0.005 0.328 0.750 Ho
0.995 0.672 0.250 Ho
0.672 0.995 0.250 Ho
```

Its crystal system is orthorhombic. The calculation puts the formation energy at -0.9610 eV/atom.


(16)
Ho2AlNi2 | meta-GGA r2SCAN | relaxed

The structure in POSCAR format:
```
Ho2AlNi2
1.0
-2.076 2.670 4.103
2.076 -2.670 4.103
2.076 2.670 -4.103
Ho Ni Al
2 2 1
direct
0.297 0.797 0.500 Ho
0.703 0.203 0.500 Ho
0.267 0.500 0.767 Ni
0.733 0.500 0.233 Ni
0.000 0.000 0.000 Al
```

Its crystal system is orthorhombic. The calculation puts the formation energy at -0.5640 eV/atom.


(17)
HoAlNi | meta-GGA r2SCAN | relaxed

The structure in POSCAR format:
```
HoAlNi
1.0
6.883 0.000 0.000
-3.442 5.961 0.000
0.000 0.000 3.863
Ni Ho Al
3 3 3
direct
0.000 0.000 0.500 Ni
0.667 0.333 0.000 Ni
0.333 0.667 0.000 Ni
0.417 0.417 0.500 Ho
0.000 0.583 0.500 Ho
0.583 0.000 0.500 Ho
0.766 0.766 0.000 Al
0.000 0.234 0.000 Al
0.234 0.000 0.000 Al
```

Its crystal system is hexagonal. The calculation puts the formation energy at -0.6251 eV/atom.


(18)
HoAlNi4 | meta-GGA r2SCAN | relaxed

The structure in POSCAR format:
```
HoAlNi4
1.0
2.475 -4.162 0.000
2.475 4.162 0.000
0.000 0.000 3.979
Ni Ho Al
4 1 1
direct
0.332 0.668 0.000 Ni
0.500 0.000 0.500 Ni
0.668 0.332 0.000 Ni
0.000 0.500 0.500 Ni
0.000 0.000 0.000 Ho
0.500 0.500 0.500 Al
```

Its crystal system is orthorhombic. The calculation puts the formation energy at -0.5131 eV/atom.


(19)
Ho4Al24Pd9 | meta-GGA r2SCAN | relaxed

The structure in POSCAR format:
```
Ho4Al24Pd9
1.0
-7.355 0.010 -1.430
-3.686 6.503 -0.715
0.011 0.000 -13.080
Al Pd Ho
24 9 4
direct
0.437 0.507 0.671 Al
0.783 0.835 0.671 Al
0.648 0.500 0.055 Al
0.062 0.631 0.815 Al
0.855 0.042 0.816 Al
0.352 0.500 0.945 Al
0.109 0.159 0.670 Al
0.891 0.841 0.330 Al
0.520 0.833 0.440 Al
0.266 0.836 0.816 Al
0.015 0.167 0.955 Al
0.813 0.500 0.560 Al
0.734 0.164 0.184 Al
0.684 0.834 0.945 Al
0.854 0.167 0.438 Al
0.985 0.833 0.045 Al
0.480 0.167 0.560 Al
0.146 0.833 0.562 Al
0.316 0.166 0.055 Al
0.145 0.958 0.184 Al
0.217 0.165 0.329 Al
0.938 0.369 0.185 Al
0.563 0.493 0.329 Al
0.187 0.500 0.440 Al
0.120 0.492 0.638 Pd
0.000 0.500 0.000 Pd
0.779 0.175 0.638 Pd
0.221 0.825 0.362 Pd
0.656 0.172 0.000 Pd
0.538 0.167 0.362 Pd
0.880 0.508 0.362 Pd
0.462 0.833 0.638 Pd
0.344 0.828 0.000 Pd
0.734 0.498 0.809 Ho
0.606 0.832 0.191 Ho
0.394 0.168 0.809 Ho
0.266 0.502 0.191 Ho
```

Its crystal system is triclinic. The calculation puts the formation energy at -0.7579 eV/atom.


(20)
PmHoAl2 | meta-GGA r2SCAN | relaxed

The structure in POSCAR format:
```
PmHoAl2
1.0
0.000 3.629 3.629
3.629 0.000 3.629
3.629 3.629 0.000
Al Ho Pm
2 1 1
direct
0.750 0.750 0.750 Al
0.250 0.250 0.250 Al
0.500 0.500 0.500 Ho
0.000 0.000 0.000 Pm
```

Its crystal system is cubic. The calculation puts the formation energy at -0.4223 eV/atom.